1.
PBE with a Hubbard U Ba3SrCo2Cu4S4O4, optimized geometry; space-group type = P4mm, No. 99; spin magnetization = 5.78 μB/f.u.; E = -5.180 eV per atom
1.0
4.0165 0.0000 0.0000
0.0000 4.0165 0.0000
0.0000 0.0000 19.1013
Ba Sr Co Cu S O
3 1 2 4 4 4
Cartesian
0.0000 0.0000 0.0000
0.0000 0.0000 3.7187
2.0082 2.0082 9.6003
2.0082 2.0082 13.2029
0.0000 0.0000 11.5185
2.0082 2.0082 1.8656
0.0000 2.0082 6.6414
0.0000 2.0082 16.1555
2.0082 0.0000 6.6414
2.0082 0.0000 16.1555
0.0000 0.0000 7.9560
0.0000 0.0000 14.8021
2.0082 2.0082 5.2869
2.0082 2.0082 17.5354
0.0000 2.0082 1.8720
0.0000 2.0082 11.5258
2.0082 0.0000 1.8720
2.0082 0.0000 11.5258


2.
PBE with a Hubbard U BaSrCoCu2S2O2, optimized geometry; space-group type = I4mm, No. 107; spin magnetization = 2.80 μB/f.u.; E = -5.185 eV per atom
1.0
-1.9871 1.9871 9.6291
1.9871 -1.9871 9.6291
1.9871 1.9871 -9.6291
Ba Sr Co Cu S O
1 1 1 2 2 2
Cartesian
0.0000 0.0000 0.0000
0.0000 0.0000 3.6712
0.0000 0.0000 11.5909
1.9871 0.0000 6.6420
0.0000 1.9871 6.6420
0.0000 0.0000 8.0129
0.0000 0.0000 14.8658
1.9871 0.0000 1.9709
0.0000 1.9871 1.9709


3.
PBE with a Hubbard U BaSmCoCuO6, optimized geometry; space-group type = P4mm, No. 99; spin magnetization = 2.84 μB/f.u.; E = -6.309 eV per atom
1.0
3.9338 0.0000 0.0000
0.0000 3.9338 0.0000
0.0000 0.0000 7.7316
Ba Sm Co Cu O
1 1 1 1 6
Cartesian
0.0000 0.0000 0.0000
0.0000 0.0000 3.8548
1.9669 1.9669 5.7523
1.9669 1.9669 1.9497
0.0000 1.9669 2.1669
0.0000 1.9669 5.5676
1.9669 0.0000 2.1669
1.9669 0.0000 5.5676
1.9669 1.9669 3.9045
1.9669 1.9669 7.6017


4.
PBE with a Hubbard U Ba3Sr5Co2Cu6O24, optimized geometry; space-group type = Pm, No. 6; spin magnetization = 12.31 μB/f.u.; E = -5.561 eV per atom
1.0
7.8540 0.0000 0.0000
0.0000 7.8734 0.0000
-0.0042 0.0000 7.8631
Ba Sr Co Cu O
3 5 2 6 24
Cartesian
0.0000 0.0000 0.0000
7.8500 0.0000 3.9067
7.8515 3.9367 0.0011
3.9687 0.0000 0.0164
3.9708 0.0000 3.8821
3.9751 3.9367 0.0266
3.9774 3.9367 3.8836
7.8365 3.9367 3.8899
2.0274 1.9794 5.8674
2.0274 5.8940 5.8674
1.9861 1.9692 1.9505
1.9861 5.9042 1.9505
5.9041 1.9702 1.9538
5.9041 5.9032 1.9538
5.9095 1.9715 5.8799
5.9095 5.9019 5.8799
0.0322 2.0246 2.0065
0.0322 5.8488 2.0065
0.0814 2.0018 5.8490
0.0814 5.8716 5.8490
2.0348 1.9966 3.9641
2.0291 3.9367 5.8635
2.0348 5.8768 3.9641
2.0399 0.0000 5.8727
2.0520 1.9761 7.7947
2.0520 5.8973 7.7947
2.0645 3.9367 1.9962
2.1012 0.0000 1.9576
3.9036 1.9777 5.8685
3.9036 5.8957 5.8685
3.9369 1.9858 1.9655
3.9369 5.8876 1.9655
5.7997 0.0000 1.9627
5.7991 0.0000 5.8693
5.7963 1.9812 7.8381
5.7963 5.8922 7.8381
5.8350 3.9367 1.9974
5.8374 2.0163 3.9281
5.8419 3.9367 5.8312
5.8374 5.8571 3.9281